Model w:
Computed, not measured: KEuSnWO6 after structural relaxation at the GGA+U level of DFT.

Cell: 8.480 8.480 8.480 Å, 90.00 90.00 90.00°
Space group F-43m (No. 216)
Inequivalent atoms, fractional coordinates:
K (0.000, 0.000, 0.000)
Eu (0.250, 0.250, 0.250)
Sn (0.000, 0.000, 0.500)
W (0.250, 0.250, 0.750)
O (0.020, 0.250, 0.750)

theoretical density	6422	kg/m³

***

Model x:
Computed, not measured: KEuSnWO6 after structural relaxation at the GGA+U level of DFT.

Cell: 6.008 6.008 8.432 Å, 90.00 90.00 90.00°
Space group P4_2/mmc (No. 131)
Inequivalent atoms, fractional coordinates:
K (0.000, 0.000, 0.250)
Eu (0.000, 0.500, 0.000)
Sn (0.500, 0.500, 0.250)
W (0.000, 0.500, 0.500)
O (0.000, 0.500, 0.270)
O (0.238, 0.278, 0.500)

theoretical density	6434	kg/m³
spin magnetization	12.0	μB per cell

***

Most stable one: model x, least stable one: model w.

***

Model w:
Computed, not measured: LiEuW2O8 after structural relaxation at the GGA+U level of DFT.

Cell: 5.321 5.321 11.308 Å, 90.00 90.00 90.00°
Space group I-4 (No. 82)
Inequivalent atoms, fractional coordinates:
Li (0.000, 0.000, 0.000)
Eu (0.000, 0.500, 0.250)
W (0.000, 0.000, 0.500)
W (0.000, 0.500, 0.750)
O (0.157, 0.240, 0.411)
O (0.159, 0.742, 0.837)

theoretical density	6790	kg/m³
spin magnetization	12.0	μB per cell

***

Model x:
Computed, not measured: LiEuW2O8 after structural relaxation at the GGA+U level of DFT.

Cell: 5.150 5.930 11.089 Å, 90.00 112.73 90.00°
Space group P2/c (No. 13)
Inequivalent atoms, fractional coordinates:
Li (0.000, 0.192, 0.250)
Eu (0.500, 0.191, 0.750)
W (0.263, 0.329, 0.014)
O (0.143, 0.395, 0.595)
O (0.226, 0.132, 0.133)
O (0.275, 0.129, 0.889)
O (0.355, 0.413, 0.390)

theoretical density	6960	kg/m³
spin magnetization	12.0	μB per cell

***

Most stable one: model x, least stable one: model w.